VASP calculation (GGA-PBE) on GdRe2 after structural relaxation.

a = 5.4546 Å, b = 5.4546 Å, c = 8.8731 Å
α = 90.00°, β = 90.00°, γ = 120.00°
Last column: nearest neighbours and their distance in Å.
Space group P6_3/mmc (No. 194)
Unique sites:
Gd1 0.3333 0.6667 0.0627  12 Re 3.17-3.20, 4 Gd 3.32-3.34
Re1 0.0000 0.0000 0.0000  6 Re 2.74
Re2 0.1709 0.3417 0.7500  6 Re 2.66-2.80

Electronic total energy: -11.441 eV/atom
Total magnetization: 2.338 μB per atom
Energy of formation: 1.5471 eV per atom